Compound: Sr3Fe2MoO9
Source: the Materials Project
Functional: PBE+U
Structure: optimized geometry

```
data_Sr3Fe2MoO9
_symmetry_space_group_name_H-M 'P 1'
_symmetry_Int_Tables_number 1
_symmetry_space_group_name_Hall 'P 1'
_cell_length_a 9.775
_cell_length_b 9.775
_cell_length_c 5.630
_cell_angle_alpha 106.71
_cell_angle_beta 106.71
_cell_angle_gamma 48.37
loop_
_atom_site_label
_atom_site_type_symbol
_atom_site_fract_x
_atom_site_fract_y
_atom_site_fract_z
Sr1 Sr 0.082 0.601 0.344
Sr2 Sr 0.233 0.767 0.000
Sr3 Sr 0.399 0.918 0.656
Sr4 Sr 0.601 0.082 0.344
Sr5 Sr 0.767 0.233 0.000
Sr6 Sr 0.918 0.399 0.656
Fe1 Fe 0.000 0.000 0.500
Fe2 Fe 0.165 0.165 0.164
Fe3 Fe 0.500 0.500 0.500
Fe4 Fe 0.835 0.835 0.836
Mo1 Mo 0.332 0.332 0.834
Mo2 Mo 0.668 0.668 0.166
O1 O 0.079 0.079 0.309
O2 O 0.088 0.574 0.831
O3 O 0.093 0.093 0.823
O4 O 0.245 0.245 0.523
O5 O 0.256 0.744 0.500
O6 O 0.261 0.261 0.033
O7 O 0.406 0.406 0.643
O8 O 0.421 0.421 0.140
O9 O 0.426 0.912 0.169
O10 O 0.574 0.088 0.831
O11 O 0.579 0.579 0.860
O12 O 0.594 0.594 0.357
O13 O 0.739 0.739 0.967
O14 O 0.744 0.256 0.500
O15 O 0.755 0.755 0.477
O16 O 0.907 0.907 0.177
O17 O 0.912 0.426 0.169
O18 O 0.921 0.921 0.691
```

Energy with MP2020 corrections   -229.47 eV for the cell shown
Total moment   20.01 μB/cell
Total energy   -6.722 eV/atom